A geometry-optimized AlVPb2O6 structure. Source: the Materials Project database, functional r²SCAN.

Cell and atoms, written as POSCAR:
```
AlVPb2O6
1.0
0.000 3.833 3.833
3.833 0.000 3.833
3.833 3.833 0.000
Pb O V Al
2 6 1 1
Direct
0.750 0.750 0.750
0.250 0.250 0.250
0.748 0.252 0.252
0.748 0.252 0.748
0.252 0.252 0.748
0.748 0.748 0.252
0.252 0.748 0.748
0.252 0.748 0.252
0.500 0.500 0.500
0.000 0.000 0.000
```

Output
For the total energy, the calculation gives -190.99 eV for the cell shown. The formation enthalpy at 0 K comes out at -2.176 eV/atom.

=====

A geometry-optimized PrAlO3 structure. Source: the Materials Project database, functional r²SCAN.

Cell and atoms, written as POSCAR:
```
PrAlO3
1.0
4.612 -0.013 2.638
1.524 4.353 2.638
-0.019 -0.013 5.313
O Al Pr
6 2 2
Direct
0.293 0.750 0.207
0.207 0.293 0.750
0.750 0.207 0.293
0.250 0.793 0.707
0.707 0.250 0.793
0.793 0.707 0.250
0.000 0.000 0.000
0.500 0.500 0.500
0.750 0.750 0.750
0.250 0.250 0.250
```

Output
For the total energy, the calculation gives -144.16 eV for the cell shown. The formation enthalpy at 0 K comes out at -3.605 eV/atom.

=====

A geometry-optimized PrAlO3 structure. Source: the Materials Project database, functional r²SCAN.

Cell and atoms, written as POSCAR:
```
PrAlO3
1.0
-0.384 2.726 4.547
-4.675 0.342 2.507
-0.750 -2.577 4.589
O Pr Al
6 2 2
Direct
0.250 0.750 0.750
0.250 0.750 0.250
0.750 0.750 0.250
0.250 0.250 0.750
0.750 0.250 0.250
0.750 0.250 0.750
0.250 0.250 0.250
0.750 0.750 0.750
0.000 0.000 0.000
0.500 0.500 0.500
```

Output
For the total energy, the calculation gives -144.05 eV for the cell shown. The formation enthalpy at 0 K comes out at -3.594 eV/atom.

=====

A geometry-optimized RbAlO2 structure. Source: the Materials Project database, functional r²SCAN.

Cell and atoms, written as POSCAR:
```
RbAlO2
1.0
4.912 0.000 2.836
1.637 4.631 2.836
0.000 0.000 5.672
O Rb Al
4 2 2
Direct
0.000 0.500 0.000
0.000 0.000 0.000
0.500 0.000 0.000
0.000 0.000 0.500
0.375 0.375 0.375
0.625 0.625 0.625
0.125 0.125 0.125
0.875 0.875 0.875
```

Output
For the total energy, the calculation gives -87.60 eV for the cell shown. The formation enthalpy at 0 K comes out at -2.798 eV/atom.

=====

A geometry-optimized RbAl11O17 structure. Source: the Materials Project database, functional r²SCAN.

Cell and atoms, written as POSCAR:
```
RbAl11O17
1.0
2.796 -4.843 0.000
2.796 4.843 0.000
0.000 0.000 22.838
O Al Rb
34 22 2
Direct
0.687 0.843 0.049
0.313 0.157 0.549
0.000 0.000 0.140
0.333 0.667 0.945
0.501 0.003 0.357
0.499 0.501 0.857
0.157 0.313 0.451
0.501 0.499 0.357
0.000 0.000 0.640
0.667 0.333 0.750
0.003 0.501 0.643
0.000 0.000 0.360
0.499 0.997 0.857
0.000 0.000 0.860
0.333 0.667 0.250
0.843 0.157 0.951
0.499 0.501 0.643
0.997 0.499 0.357
0.157 0.843 0.049
0.003 0.501 0.857
0.843 0.687 0.951
0.687 0.843 0.451
0.501 0.499 0.143
0.667 0.333 0.445
0.501 0.003 0.143
0.157 0.843 0.451
0.667 0.333 0.055
0.843 0.157 0.549
0.157 0.313 0.049
0.843 0.687 0.549
0.499 0.997 0.643
0.997 0.499 0.143
0.313 0.157 0.951
0.333 0.667 0.555
0.167 0.335 0.605
0.667 0.333 0.525
0.333 0.667 0.475
0.833 0.167 0.395
0.667 0.333 0.675
0.665 0.833 0.605
0.167 0.335 0.895
0.335 0.167 0.395
0.833 0.665 0.395
0.667 0.333 0.975
0.333 0.667 0.175
0.333 0.667 0.325
0.335 0.167 0.105
0.833 0.665 0.105
0.167 0.833 0.895
0.333 0.667 0.025
0.833 0.167 0.105
0.665 0.833 0.895
0.000 0.000 0.000
0.667 0.333 0.825
0.167 0.833 0.605
0.000 0.000 0.500
0.333 0.667 0.750
0.667 0.333 0.250
```

Output
For the total energy, the calculation gives -569.95 eV for the cell shown. The formation enthalpy at 0 K comes out at -3.292 eV/atom.

=====

A geometry-optimized AlRhO3 structure. Source: the Materials Project database, functional r²SCAN.

Cell and atoms, written as POSCAR:
```
AlRhO3
1.0
1.559 -2.700 0.000
1.559 2.700 0.000
0.000 0.000 11.753
O Al Rh
6 2 2
Direct
0.000 0.000 0.250
0.000 0.000 0.750
0.667 0.333 0.586
0.667 0.333 0.914
0.333 0.667 0.414
0.333 0.667 0.086
0.667 0.333 0.750
0.333 0.667 0.250
0.000 0.000 0.000
0.000 0.000 0.500
```

Output
For the total energy, the calculation gives -118.69 eV for the cell shown. The formation enthalpy at 0 K comes out at -2.111 eV/atom.

=====

A geometry-optimized Al2Si2O7 structure. Source: the Materials Project database, functional r²SCAN.

Cell and atoms, written as POSCAR:
```
Al2Si2O7
1.0
-2.203 -2.893 3.649
4.856 -0.913 1.457
1.031 5.036 7.864
O Al Si
14 4 4
Direct
0.817 0.183 0.250
0.865 0.708 0.106
0.302 0.482 0.105
0.135 0.292 0.894
0.292 0.135 0.394
0.550 0.013 0.866
0.450 0.987 0.134
0.987 0.450 0.634
0.518 0.698 0.395
0.482 0.302 0.605
0.183 0.817 0.750
0.708 0.865 0.606
0.013 0.550 0.366
0.698 0.518 0.895
0.750 0.601 0.521
0.399 0.250 0.979
0.250 0.399 0.479
0.601 0.750 0.021
0.992 0.486 0.205
0.514 0.008 0.295
0.486 0.992 0.705
0.008 0.514 0.795
```

Output
For the total energy, the calculation gives -215.55 eV for the cell shown. The formation enthalpy at 0 K comes out at -3.178 eV/atom.

=====

A geometry-optimized SmAlO3 structure. Source: the Materials Project database, functional r²SCAN.

Cell and atoms, written as POSCAR:
```
SmAlO3
1.0
-2.633 3.786 -2.577
-4.388 -1.238 2.665
1.848 4.906 5.320
Sm O Al
4 12 4
Direct
0.028 0.993 0.250
0.972 0.007 0.750
0.472 0.493 0.750
0.528 0.507 0.250
0.990 0.434 0.250
0.777 0.776 0.035
0.510 0.934 0.750
0.490 0.066 0.250
0.777 0.776 0.465
0.723 0.276 0.965
0.723 0.276 0.535
0.277 0.724 0.035
0.277 0.724 0.465
0.010 0.566 0.750
0.223 0.224 0.965
0.223 0.224 0.535
0.000 0.500 0.000
0.000 0.500 0.500
0.500 0.000 0.000
0.500 0.000 0.500
```

Output
For the total energy, the calculation gives -290.45 eV for the cell shown. The formation enthalpy at 0 K comes out at -3.646 eV/atom.

=====

A geometry-optimized Sm4Al2O9 structure. Source: the Materials Project database, functional r²SCAN.

Cell and atoms, written as POSCAR:
```
Sm4Al2O9
1.0
-4.677 -3.076 9.164
0.445 -7.272 -2.214
9.774 -4.347 3.529
Sm O Al
16 36 8
Direct
0.088 0.525 0.190
0.912 0.475 0.810
0.375 0.835 0.068
0.588 0.475 0.310
0.878 0.665 0.412
0.104 0.024 0.213
0.125 0.835 0.568
0.412 0.525 0.690
0.396 0.024 0.713
0.875 0.165 0.432
0.378 0.335 0.088
0.122 0.335 0.588
0.622 0.665 0.912
0.604 0.976 0.287
0.896 0.976 0.787
0.625 0.165 0.932
0.509 0.934 0.895
0.729 0.860 0.466
0.241 0.934 0.883
0.996 0.577 0.607
0.009 0.066 0.605
0.275 0.284 0.753
0.225 0.284 0.253
0.970 0.284 0.161
0.235 0.577 0.019
0.771 0.860 0.966
0.229 0.140 0.034
0.470 0.716 0.339
0.033 0.200 0.829
0.491 0.066 0.105
0.259 0.934 0.383
0.504 0.577 0.107
0.271 0.140 0.534
0.265 0.577 0.519
0.467 0.200 0.329
0.533 0.800 0.671
0.530 0.284 0.661
0.272 0.731 0.735
0.759 0.066 0.117
0.728 0.269 0.265
0.967 0.800 0.171
0.496 0.423 0.893
0.741 0.066 0.617
0.228 0.731 0.235
0.725 0.716 0.247
0.735 0.423 0.481
0.775 0.716 0.747
0.004 0.423 0.393
0.030 0.716 0.839
0.765 0.423 0.981
0.772 0.269 0.765
0.991 0.934 0.395
0.312 0.721 0.372
0.814 0.847 0.118
0.314 0.153 0.382
0.812 0.279 0.128
0.186 0.153 0.882
0.686 0.847 0.618
0.188 0.721 0.872
0.688 0.279 0.628
```

Output
For the total energy, the calculation gives -964.06 eV for the cell shown. The formation enthalpy at 0 K comes out at -3.658 eV/atom.

=====

A geometry-optimized Sm3Al5O12 structure. Source: the Materials Project database, functional r²SCAN.

Cell and atoms, written as POSCAR:
```
Sm3Al5O12
1.0
8.132 6.686 -0.170
-8.480 4.886 3.884
2.378 -8.265 6.074
O Al Sm
48 20 12
Direct
0.320 0.901 0.016
0.196 0.581 0.180
0.419 0.099 0.615
0.099 0.984 0.680
0.581 0.901 0.385
0.615 0.419 0.099
0.196 0.115 0.016
0.419 0.820 0.804
0.016 0.320 0.901
0.885 0.401 0.081
0.804 0.419 0.820
0.115 0.599 0.919
0.484 0.385 0.304
0.320 0.919 0.304
0.304 0.484 0.385
0.984 0.680 0.099
0.820 0.516 0.401
0.401 0.820 0.516
0.484 0.599 0.180
0.885 0.984 0.804
0.180 0.196 0.581
0.615 0.696 0.516
0.919 0.304 0.320
0.680 0.099 0.984
0.385 0.304 0.484
0.984 0.804 0.885
0.919 0.115 0.599
0.081 0.885 0.401
0.016 0.196 0.115
0.901 0.385 0.581
0.581 0.180 0.196
0.115 0.016 0.196
0.599 0.180 0.484
0.516 0.615 0.696
0.180 0.484 0.599
0.304 0.320 0.919
0.901 0.016 0.320
0.401 0.081 0.885
0.385 0.581 0.901
0.516 0.401 0.820
0.599 0.919 0.115
0.081 0.696 0.680
0.804 0.885 0.984
0.820 0.804 0.419
0.696 0.680 0.081
0.099 0.615 0.419
0.680 0.081 0.696
0.696 0.516 0.615
0.500 0.500 0.000
0.875 0.250 0.125
0.125 0.875 0.250
0.000 0.500 0.500
0.875 0.125 0.750
0.500 0.000 0.000
0.500 0.000 0.500
0.750 0.875 0.125
0.125 0.750 0.875
0.625 0.750 0.375
0.000 0.500 0.000
0.375 0.250 0.625
0.625 0.375 0.250
0.750 0.375 0.625
0.000 0.000 0.000
0.500 0.500 0.500
0.250 0.625 0.375
0.000 0.000 0.500
0.375 0.625 0.750
0.250 0.125 0.875
0.375 0.125 0.250
0.625 0.875 0.750
0.375 0.750 0.125
0.125 0.375 0.750
0.625 0.250 0.875
0.875 0.750 0.625
0.250 0.875 0.625
0.750 0.625 0.875
0.250 0.375 0.125
0.750 0.125 0.375
0.875 0.625 0.250
0.125 0.250 0.375
```

Output
For the total energy, the calculation gives -1063.21 eV for the cell shown. The formation enthalpy at 0 K comes out at -3.564 eV/atom.

=====

- Which of these has the highest formation enthalpy at 0 K?
  AlRhO3

=====

- What is the formation enthalpy at 0 K in the tenth record?
  -3.564 eV/atom

=====

- formation enthalpy at 0 K of number 6 (AlRhO3)?
  -2.111 eV/atom

=====

- Which of these has the highest formation enthalpy at 0 K?
  AlRhO3